1.
The following is a GGA+U calculation of crystalline LiZnCo4O8 at its relaxed geometry, from Materials Project.

Cell lengths 2.906, 7.427, 7.559 Å; angles 69.67, 88.55, 81.82 degrees
Fractional positions:
O  0.423  0.489  0.019
Li  0.857  0.549  0.508
O  0.025  0.342  0.401
O  0.827  0.681  0.693
Zn  0.551  0.993  0.180
O  0.467  0.375  0.689
Co  0.015  0.569  0.166
Co  0.946  0.390  0.870
Co  0.259  0.847  0.599
O  0.679  0.000  0.442
O  0.006  0.147  0.037
O  0.515  0.710  0.247
Co  0.569  0.206  0.553
O  0.115  0.064  0.694

## Properties
space group	No. 1
ΔE_f	-28.67	kcal/mol of atoms
energy	-5.468	eV/atom
E (MP2020)	-6.3281	eV per atom
total magnetic moment	11.01	μB per cell

---

2.
The following is a GGA+U calculation of crystalline LiZnCo4O8 at its relaxed geometry, from Materials Project.

Cell lengths 2.956, 7.512, 7.726 Å; angles 66.62, 78.18, 80.18 degrees
Fractional positions:
Co  0.281  0.855  0.621
O  0.840  0.677  0.706
Co  0.107  0.583  0.202
O  0.875  0.161  0.061
O  0.455  0.359  0.748
Co  0.863  0.417  0.879
O  0.062  0.365  0.416
Co  0.578  0.220  0.583
O  0.261  0.472  0.014
O  0.142  0.034  0.757
O  0.747  0.031  0.465
Li  0.262  0.176  0.250
Zn  0.487  0.022  0.976
O  0.543  0.749  0.158

## Properties
space group	No. 1
ΔE_f	-29.42	kcal/mol of atoms
energy	-5.500	eV/atom
E (MP2020)	-6.3603	eV per atom
total magnetic moment	11.00	μB per cell

---

3.
The following is a GGA+U calculation of crystalline LiZnCo4O8 at its relaxed geometry, from Materials Project.

Cell lengths 2.967, 7.070, 7.528 Å; angles 74.51, 78.76, 78.00 degrees
Fractional positions:
O  0.132  0.346  0.394
O  0.481  0.738  0.283
O  0.236  0.543  0.996
O  0.458  0.370  0.720
Co  0.310  0.832  0.548
O  0.894  0.192  0.023
O  0.786  0.019  0.409
Co  0.619  0.219  0.547
Co  0.056  0.606  0.219
O  0.130  0.067  0.678
Co  0.851  0.454  0.852
Li  0.516  0.082  0.882
O  0.815  0.694  0.678
Zn  0.323  0.148  0.209

## Properties
space group	No. 1
ΔE_f	-29.10	kcal/mol of atoms
energy	-5.486	eV/atom
E (MP2020)	-6.3464	eV per atom
total magnetic moment	9.00	μB per cell

---

4.
The following is a GGA+U calculation of crystalline Lu4MgCo4O12 at its relaxed geometry, from Materials Project.

Cell lengths 5.210, 5.963, 7.105 Å; angles 90.02, 89.84, 93.47 degrees
Fractional positions:
O  0.804  0.829  0.435
O  0.801  0.831  0.063
Lu  0.913  0.139  0.251
O  0.186  0.161  0.559
O  0.361  0.953  0.251
Co  0.001  0.474  0.518
O  0.665  0.308  0.053
O  0.318  0.678  0.547
O  0.133  0.444  0.251
O  0.618  0.046  0.750
Lu  0.000  0.904  0.750
Mg  0.069  0.750  0.244
O  0.315  0.677  0.955
O  0.186  0.160  0.942
Lu  0.538  0.580  0.251
Co  0.485  0.996  0.502
Lu  0.461  0.397  0.750
Co  0.000  0.470  0.981
O  0.665  0.309  0.447
Co  0.485  0.997  0.998
O  0.860  0.542  0.750

## Properties
space group	No. 1
ΔE_f	-58.02	kcal/mol of atoms
energy	-6.930	eV/atom
E (MP2020)	-7.6345	eV per atom
total magnetic moment	0.00	μB per cell

---

5.
The following is a GGA+U calculation of crystalline Lu2MnCoO6 at its relaxed geometry, from Materials Project.

Cell lengths 5.533, 5.193, 7.551 Å; angles 90.53, 90.00, 90.00 degrees
Fractional positions:
O  0.188  0.200  0.060
O  0.688  0.300  0.440
O  0.549  0.874  0.259
O  0.049  0.626  0.241
Lu  0.575  0.526  0.748
O  0.812  0.800  0.940
Co  0.500  0.000  0.000
O  0.312  0.700  0.560
O  0.793  0.819  0.568
O  0.951  0.374  0.759
O  0.207  0.181  0.432
Mn  0.500  0.000  0.500
Co  0.000  0.500  0.500
O  0.293  0.681  0.932
O  0.451  0.126  0.741
Mn  0.000  0.500  0.000
Lu  0.925  0.026  0.248
O  0.707  0.319  0.068
Lu  0.075  0.974  0.752
Lu  0.425  0.474  0.252

## Properties
space group	No. 14
ΔE_f	-65.83	kcal/mol of atoms
energy	-7.612	eV/atom
E (MP2020)	-8.3548	eV per atom
total magnetic moment	10.00	μB per cell

---

6.
The following is a GGA+U calculation of crystalline MgMn2CoO6 at its relaxed geometry, from Materials Project.

Cell lengths 6.498, 2.986, 6.081 Å; angles 85.97, 101.67, 76.98 degrees
Fractional positions:
O  0.654  0.138  0.405
O  0.320  0.825  0.123
Mg  0.652  0.674  0.158
O  0.992  0.545  0.778
Mn  0.675  0.666  0.657
Co  0.311  0.311  0.360
O  0.696  0.194  0.917
O  0.362  0.803  0.573
Mn  0.015  0.008  0.990
O  0.996  0.494  0.197

## Properties
space group	No. 1
ΔE_f	-43.40	kcal/mol of atoms
energy	-6.644	eV/atom
E (MP2020)	-7.5540	eV per atom
total magnetic moment	11.00	μB per cell

---

7.
The following is a GGA+U calculation of crystalline MgMnCo3O8 at its relaxed geometry, from Materials Project.

Cell lengths 5.933, 5.816, 5.916 Å; angles 61.32, 61.37, 57.41 degrees
Fractional positions:
Co  0.500  0.000  0.000
O  0.714  0.727  0.813
O  0.286  0.273  0.187
O  0.718  0.231  0.796
O  0.282  0.769  0.204
O  0.258  0.256  0.783
Mg  0.500  0.500  0.500
O  0.256  0.734  0.789
O  0.744  0.266  0.211
Co  0.500  0.500  0.000
O  0.742  0.744  0.217
Mn  0.000  0.000  0.000
Co  0.000  0.500  0.000

## Properties
space group	No. 2
ΔE_f	-35.18	kcal/mol of atoms
energy	-6.110	eV/atom
E (MP2020)	-7.0387	eV per atom
total magnetic moment	7.99	μB per cell

---

8.
The following is a GGA+U calculation of crystalline Mg6MnCoO8 at its relaxed geometry, from Materials Project.

Cell lengths 8.659, 4.284, 4.284 Å; angles 90.00, 90.00, 90.00 degrees
Fractional positions:
Mg  0.253  0.500  0.000
Mg  0.000  0.500  0.500
Mg  0.500  0.500  0.500
O  0.500  0.500  0.000
O  0.500  0.000  0.500
Mn  0.000  0.000  0.000
O  0.000  0.000  0.500
O  0.253  0.000  0.000
O  0.251  0.500  0.500
Co  0.500  0.000  0.000
O  0.000  0.500  0.000
Mg  0.747  0.000  0.500
O  0.749  0.500  0.500
O  0.747  0.000  0.000
Mg  0.747  0.500  0.000
Mg  0.253  0.000  0.500

## Properties
space group	No. 123
ΔE_f	-61.28	kcal/mol of atoms
energy	-6.198	eV/atom
E (MP2020)	-6.7485	eV per atom
total magnetic moment	7.95	μB per cell

---

9.
The following is a GGA+U calculation of crystalline MgMn3CoO8 at its relaxed geometry, from Materials Project.

Cell lengths 5.803, 5.820, 5.819 Å; angles 60.46, 62.50, 62.50 degrees
Fractional positions:
O  0.714  0.756  0.756
O  0.297  0.240  0.240
Mn  0.497  0.498  0.008
Mg  0.872  0.885  0.885
Mn  0.004  0.500  0.500
O  0.274  0.697  0.256
O  0.699  0.273  0.273
Co  0.497  0.499  0.499
O  0.732  0.296  0.744
O  0.287  0.734  0.734
Mn  0.497  0.008  0.498
O  0.274  0.256  0.697
O  0.732  0.744  0.296

## Properties
space group	No. 8
ΔE_f	-44.22	kcal/mol of atoms
energy	-6.813	eV/atom
E (MP2020)	-7.7467	eV per atom
total magnetic moment	10.00	μB per cell

---

10.
The following is a GGA+U calculation of crystalline MgMn3CoO8 at its relaxed geometry, from Materials Project.

Cell lengths 5.742, 6.066, 5.877 Å; angles 120.74, 119.20, 61.52 degrees
Fractional positions:
O  0.239  0.809  0.285
Co  0.011  0.005  0.027
Mg  0.011  0.504  0.527
Mn  0.011  0.005  0.527
O  0.280  0.205  0.276
O  0.790  0.205  0.277
Mn  0.511  0.006  0.027
O  0.784  0.201  0.770
O  0.252  0.229  0.735
O  0.770  0.781  0.319
O  0.233  0.804  0.778
Mn  0.511  0.005  0.527
O  0.742  0.805  0.778

## Properties
space group	No. 1
ΔE_f	-44.18	kcal/mol of atoms
energy	-6.811	eV/atom
E (MP2020)	-7.7450	eV per atom
total magnetic moment	10.00	μB per cell

---

11.
The following is a GGA+U calculation of crystalline MgMn4Co2O12 at its relaxed geometry, from Materials Project.

Cell lengths 5.083, 5.082, 10.238 Å; angles 89.95, 90.96, 59.62 degrees
Fractional positions:
O  0.659  0.334  0.904
O  0.995  0.158  0.597
O  0.646  0.518  0.400
O  0.344  0.008  0.900
Mn  0.667  0.166  0.500
O  0.004  0.344  0.097
Mg  0.495  0.833  0.250
O  0.006  0.652  0.902
O  0.000  0.846  0.404
O  0.653  0.984  0.102
Co  0.998  0.503  0.509
Mn  0.331  0.332  0.001
O  0.664  0.846  0.599
O  0.348  0.493  0.598
O  0.342  0.144  0.399
Co  0.998  0.004  0.991
Mn  0.672  0.664  0.989
Mn  0.328  0.834  0.511
O  0.349  0.671  0.098

## Properties
space group	No. 1
ΔE_f	-38.78	kcal/mol of atoms
energy	-6.611	eV/atom
E (MP2020)	-7.5680	eV per atom
total magnetic moment	20.00	μB per cell

---

12.
The following is a GGA+U calculation of crystalline MgMn3CoO8 at its relaxed geometry, from Materials Project.

Cell lengths 5.890, 6.045, 5.825 Å; angles 118.76, 120.33, 60.85 degrees
Fractional positions:
O  0.758  0.202  0.718
O  0.292  0.211  0.250
O  0.242  0.798  0.282
O  0.747  0.210  0.249
Mg  0.500  0.500  0.500
O  0.266  0.197  0.730
Mn  0.000  0.000  0.500
O  0.708  0.789  0.750
Mn  0.500  0.000  0.000
O  0.253  0.790  0.751
Co  0.000  0.000  0.000
Mn  0.500  0.000  0.500
O  0.734  0.803  0.270

## Properties
space group	No. 12
ΔE_f	-44.36	kcal/mol of atoms
energy	-6.819	eV/atom
E (MP2020)	-7.7528	eV per atom
total magnetic moment	12.00	μB per cell